Computed, not measured: LiMnF3 after structural relaxation at the PBE+U level of DFT.

Geometry as CIF:
```
data_LiMnF3
_cell_length_a 7.5680
_cell_length_b 10.3503
_cell_length_c 6.4798
_cell_angle_alpha 90.00
_cell_angle_beta 90.00
_cell_angle_gamma 90.00
_symmetry_space_group_name_H-M 'C m c m'
_symmetry_Int_Tables_number 63
_symmetry_space_group_name_Hall '-C 2c 2'
loop_
_atom_site_label
_atom_site_type_symbol
_atom_site_fract_x
_atom_site_fract_y
_atom_site_fract_z
_atom_site_occupancy
Li1 Li 0.0000 0.0001 0.2500 1
Li2 Li 0.0000 0.4921 0.2500 1
Mn1 Mn 0.2500 0.2500 0.0000 1
F1 F 0.0000 0.3625 0.0044 1
F2 F 0.1769 0.1287 0.7500 1
F3 F 0.1792 0.1271 0.2500 1
```

Values from the calculation:
MP2020-corrected energy: -6.33 eV per atom
M_tot: 40.0 μB/cell
Energy of formation from the pure elements: -2.9700 eV/atom